# 1
This record from Materials Project describes an optimized crystal structure of MnGa2Se4. The functional is PBE-GGA.

Cell lengths 7.0536, 7.0536, 7.0536 Å; angles 133.55, 133.55, 67.80 degrees
Last column: nearest neighbours and their distance in Å.
Fractional coordinates of all 7 atoms:
Mn  0.0000  0.0000  0.0000  4 Se 2.54
Ga  0.7500  0.2500  0.5000  4 Se 2.47
Ga  0.2500  0.7500  0.5000  4 Se 2.47
Se  0.8576  0.3887  0.0000  2 Ga 2.47, 1 Mn 2.54
Se  0.3887  0.8576  0.0000  2 Ga 2.47, 1 Mn 2.54
Se  0.1424  0.1424  0.5311  2 Ga 2.47, 1 Mn 2.54
Se  0.6113  0.6113  0.4689  2 Ga 2.47, 1 Mn 2.54

Results
- Volume: 181 Å³/f.u.
- Polymorph energy (0 for the lowest one): 0.011 eV/atom


# 2
This record from Materials Project describes an optimized crystal structure of YLuZn2. The functional is PBE-GGA.

Cell lengths 5.0121, 5.0121, 5.0121 Å; angles 60.00, 60.00, 60.00 degrees
Last column: nearest neighbours and their distance in Å.
Fractional coordinates of all 4 atoms:
Y  0.0000  0.0000  0.0000  8 Zn 3.07
Lu  0.5000  0.5000  0.5000  8 Zn 3.07
Zn  0.2500  0.2500  0.2500  4 Y 3.07, 4 Lu 3.07
Zn  0.7500  0.7500  0.7500  4 Y 3.07, 4 Lu 3.07

Results
- Volume: 89 Å³/f.u.


# 3
This record from Materials Project describes an optimized crystal structure of LiBH5N. The functional is PBE-GGA.

Cell lengths 5.1942, 7.1392, 14.0334 Å; angles 90.00, 90.00, 90.00 degrees
Last column: nearest neighbours and their distance in Å.
Fractional coordinates of all 64 atoms:
Li  0.0642  0.4513  0.1773  5 H 1.99-2.20, 1 N 2.03
Li  0.9358  0.9513  0.3227  5 H 1.99-2.20, 1 N 2.03
Li  0.4358  0.5487  0.6773  5 H 1.99-2.20, 1 N 2.03
Li  0.5642  0.0487  0.8227  5 H 1.99-2.20, 1 N 2.03
Li  0.9358  0.5487  0.8227  5 H 1.99-2.20, 1 N 2.03
Li  0.0642  0.0487  0.6773  5 H 1.99-2.20, 1 N 2.03
Li  0.5642  0.4513  0.3227  5 H 1.99-2.20, 1 N 2.03
Li  0.4358  0.9513  0.1773  5 H 1.99-2.20, 1 N 2.03
B  0.5332  0.5949  0.1539  3 H 1.23-1.25
B  0.4668  0.0949  0.3461  3 H 1.23-1.25
B  0.9668  0.4051  0.6539  3 H 1.23-1.25
B  0.0332  0.9051  0.8461  3 H 1.23-1.25
B  0.4668  0.4051  0.8461  3 H 1.23-1.25
B  0.5332  0.9051  0.6539  3 H 1.23-1.25
B  0.0332  0.5949  0.3461  3 H 1.23-1.25
B  0.9668  0.0949  0.1539  3 H 1.23-1.25
H  0.3547  0.6775  0.1120  1 B 1.25
H  0.6453  0.1775  0.3880  1 B 1.25
H  0.1453  0.3225  0.6120  1 B 1.25
H  0.8547  0.8225  0.8880  1 B 1.25
H  0.6453  0.3225  0.8880  1 B 1.25
H  0.3547  0.8225  0.6120  1 B 1.25
H  0.8547  0.6775  0.3880  1 B 1.25
H  0.1453  0.1775  0.1120  1 B 1.25
H  0.5846  0.6856  0.2263  1 B 1.23
H  0.4154  0.1856  0.2737  1 B 1.23
H  0.9154  0.3144  0.7263  1 B 1.23
H  0.0846  0.8144  0.7737  1 B 1.23
H  0.4154  0.3144  0.7737  1 B 1.23
H  0.5846  0.8144  0.7263  1 B 1.23
H  0.0846  0.6856  0.2737  1 B 1.23
H  0.9154  0.1856  0.2263  1 B 1.23
H  0.4470  0.4411  0.1803  1 B 1.24
H  0.5530  0.9411  0.3197  1 B 1.24
H  0.0530  0.5589  0.6803  1 B 1.24
H  0.9470  0.0589  0.8197  1 B 1.24
H  0.5530  0.5589  0.8197  1 B 1.24
H  0.4470  0.0589  0.6803  1 B 1.24
H  0.9470  0.4411  0.3197  1 B 1.24
H  0.0530  0.9411  0.1803  1 B 1.24
H  0.8589  0.6884  0.0744  1 N 1.02
H  0.1411  0.1884  0.4256  1 N 1.02
H  0.6411  0.3116  0.5744  1 N 1.02
H  0.3589  0.8116  0.9256  1 N 1.02
H  0.1411  0.3116  0.9256  1 N 1.02
H  0.8589  0.8116  0.5744  1 N 1.02
H  0.3589  0.6884  0.4256  1 N 1.02
H  0.6411  0.1884  0.0744  1 N 1.02
H  0.7476  0.4936  0.0323  1 N 1.02
H  0.2524  0.9936  0.4677  1 N 1.02
H  0.7524  0.5064  0.5323  1 N 1.02
H  0.2476  0.0064  0.9677  1 N 1.02
H  0.2524  0.5064  0.9677  1 N 1.02
H  0.7476  0.0064  0.5323  1 N 1.02
H  0.2476  0.4936  0.4677  1 N 1.02
H  0.7524  0.9936  0.0323  1 N 1.02
N  0.7820  0.5632  0.0948  2 H 1.02
N  0.2180  0.0632  0.4052  2 H 1.02
N  0.7180  0.4368  0.5948  2 H 1.02
N  0.2820  0.9368  0.9052  2 H 1.02
N  0.2180  0.4368  0.9052  2 H 1.02
N  0.7820  0.9368  0.5948  2 H 1.02
N  0.2820  0.5632  0.4052  2 H 1.02
N  0.7180  0.0632  0.0948  2 H 1.02

Results
- Volume: 65 Å³/f.u.
- Size of the total moment: 0.00 μB/f.u.


# 4
This record from Materials Project describes an optimized crystal structure of CsHCO2. The functional is PBE-GGA.

Cell lengths 4.9204, 8.0734, 9.7299 Å; angles 90.00, 90.00, 90.00 degrees
Last column: nearest neighbours and their distance in Å.
Fractional coordinates of all 20 atoms:
Cs  0.9504  0.0000  0.2500  8 O 3.20-3.32, 2 C 3.56
Cs  0.0496  0.5000  0.7500  8 O 3.20-3.32, 2 C 3.56
Cs  0.0496  0.0000  0.7500  8 O 3.20-3.32, 2 C 3.56
Cs  0.9504  0.5000  0.2500  8 O 3.20-3.32, 2 C 3.56
H  0.5638  0.2500  0.9709  1 C 1.12
H  0.5638  0.7500  0.5291  1 C 1.12
H  0.4362  0.7500  0.0291  1 C 1.12
H  0.4362  0.2500  0.4709  1 C 1.12
C  0.3935  0.2500  0.0477  1 H 1.12
C  0.3935  0.7500  0.4523  1 H 1.12
C  0.6065  0.7500  0.9523  1 H 1.12
C  0.6065  0.2500  0.5477  1 H 1.12
O  0.4620  0.2500  0.1736  1 C 1.27
O  0.4620  0.7500  0.3264  1 C 1.27
O  0.5380  0.7500  0.8264  1 C 1.27
O  0.5380  0.2500  0.6736  1 C 1.27
O  0.1537  0.2500  0.9995  1 C 1.27
O  0.1537  0.7500  0.5005  1 C 1.27
O  0.8463  0.7500  0.0005  1 C 1.27
O  0.8463  0.2500  0.4995  1 C 1.27

Results
- Volume: 97 Å³/f.u.
- Size of the total moment: 0.00 μB/f.u.


no.,formation energy from the elements (eV per atom)
1,-0.8191
2,-0.3616
3,-0.4388
4,-1.5638